No. 1
Compound: BaEuYWO6
Source: the Materials Project database
Functional: PBE with a Hubbard U
Structure: relaxed

a b c (Å): 5.985 5.985 5.985
angles (deg): 60.00 60.00 60.00
Sites, in units of the cell vectors:
Ba: 0.000 0.000 0.000
Eu: 0.500 0.500 0.500
Y: 0.250 0.250 0.250
W: 0.750 0.750 0.750
O: 0.514 0.514 0.986
O: 0.514 0.986 0.514
O: 0.514 0.986 0.986
O: 0.986 0.514 0.514
O: 0.986 0.514 0.986
O: 0.986 0.986 0.514

Results
Electronic total energy (eV/f.u.): -82.928
Space group: F-43m

=====

No. 2
Compound: V2Si4O11
Source: the Materials Project database
Functional: PBE with a Hubbard U
Structure: relaxed

a b c (Å): 6.994 7.363 8.619
angles (deg): 99.47 101.29 104.64
Sites, in units of the cell vectors:
V: 0.123 0.386 0.384
V: 0.125 0.386 0.887
V: 0.875 0.614 0.113
V: 0.877 0.614 0.616
Si: 0.119 0.977 0.269
Si: 0.279 0.779 0.980
Si: 0.281 0.776 0.542
Si: 0.482 0.604 0.271
Si: 0.518 0.396 0.729
Si: 0.719 0.224 0.458
Si: 0.721 0.221 0.020
Si: 0.881 0.023 0.731
O: 0.081 0.626 0.913
O: 0.082 0.160 0.806
O: 0.082 0.627 0.432
O: 0.093 0.161 0.311
O: 0.241 0.943 0.104
O: 0.254 0.942 0.477
O: 0.296 0.445 0.180
O: 0.300 0.429 0.681
O: 0.337 0.815 0.786
O: 0.458 0.703 0.484
O: 0.458 0.715 0.107
O: 0.542 0.285 0.893
O: 0.542 0.297 0.516
O: 0.663 0.185 0.214
O: 0.700 0.571 0.319
O: 0.704 0.555 0.820
O: 0.746 0.058 0.523
O: 0.759 0.057 0.896
O: 0.907 0.839 0.689
O: 0.918 0.373 0.568
O: 0.918 0.840 0.194
O: 0.919 0.374 0.087

Results
Electronic total energy (eV/f.u.): -118.286
Space group: P-1

=====

No. 3
Compound: Li5Ni3Sn2O10
Source: the Materials Project database
Functional: PBE with a Hubbard U
Structure: relaxed

a b c (Å): 5.229 10.388 8.116
angles (deg): 69.81 77.56 98.49
Sites, in units of the cell vectors:
O: 0.561 0.806 0.141
O: 0.362 0.598 0.546
O: 0.862 0.098 0.046
O: 0.638 0.402 0.454
O: 0.663 0.897 0.440
O: 0.837 0.603 0.060
O: 0.939 0.694 0.359
O: 0.032 0.798 0.656
O: 0.138 0.902 0.954
O: 0.240 0.498 0.274
O: 0.260 0.002 0.226
O: 0.760 0.502 0.726
O: 0.532 0.298 0.156
O: 0.163 0.397 0.939
O: 0.439 0.194 0.859
O: 0.740 0.998 0.774
O: 0.968 0.202 0.343
O: 0.337 0.103 0.560
O: 0.061 0.306 0.641
O: 0.468 0.702 0.843
Li: 0.599 0.088 0.313
Li: 0.691 0.190 0.607
Li: 0.191 0.690 0.107
Li: 0.309 0.810 0.393
Li: 0.000 0.000 0.500
Li: 0.099 0.588 0.813
Li: 0.500 0.500 0.000
Li: 0.809 0.310 0.893
Li: 0.901 0.412 0.187
Li: 0.401 0.912 0.687
Ni: 0.596 0.600 0.300
Ni: 0.096 0.100 0.800
Ni: 0.903 0.900 0.200
Ni: 0.500 0.000 0.000
Ni: 0.000 0.500 0.500
Ni: 0.404 0.400 0.700
Sn: 0.806 0.797 0.902
Sn: 0.306 0.297 0.402
Sn: 0.694 0.703 0.598
Sn: 0.194 0.203 0.098

Results
Electronic total energy (eV/f.u.): -107.211

=====

No. 4
Compound: MgMn6O8F4
Source: the Materials Project database
Functional: PBE with a Hubbard U
Structure: relaxed

a b c (Å): 5.150 5.700 7.637
angles (deg): 96.25 90.39 90.28
Sites, in units of the cell vectors:
Mg: 0.000 0.000 0.000
Mn: 0.000 0.000 0.500
Mn: 0.051 0.392 0.824
Mn: 0.499 0.144 0.206
Mn: 0.500 0.500 0.500
Mn: 0.501 0.856 0.794
Mn: 0.949 0.608 0.176
O: 0.137 0.335 0.063
O: 0.148 0.060 0.751
O: 0.311 0.188 0.421
O: 0.342 0.566 0.724
O: 0.658 0.434 0.276
O: 0.689 0.812 0.579
O: 0.852 0.940 0.249
O: 0.863 0.665 0.937
F: 0.173 0.666 0.391
F: 0.339 0.861 0.061
F: 0.661 0.139 0.939
F: 0.827 0.334 0.609

Results
Electronic total energy (eV/f.u.): -129.422
Space group: P-1

=====

No. 5
Compound: K4MgV2O7
Source: the Materials Project database
Functional: PBE with a Hubbard U
Structure: relaxed

a b c (Å): 6.830 6.830 7.302
angles (deg): 103.01 103.01 52.82
Sites, in units of the cell vectors:
K: 0.000 0.000 0.000
K: 0.266 0.266 0.248
K: 0.379 0.379 0.781
K: 0.584 0.584 0.440
Mg: 0.118 0.118 0.650
V: 0.679 0.679 0.947
V: 0.909 0.909 0.385
O: 0.065 0.065 0.376
O: 0.142 0.654 0.506
O: 0.427 0.923 0.800
O: 0.569 0.569 0.062
O: 0.654 0.142 0.506
O: 0.818 0.818 0.131
O: 0.923 0.427 0.800

Results
Electronic total energy (eV/f.u.): -81.580
Space group: Cm

=====

No. 6
Compound: Ti3CoSn2P6O24
Source: the Materials Project database
Functional: PBE with a Hubbard U
Structure: relaxed

a b c (Å): 9.051 9.051 9.051
angles (deg): 57.15 57.15 57.15
Sites, in units of the cell vectors:
Ti: 0.000 0.000 0.000
Ti: 0.207 0.207 0.207
Ti: 0.701 0.701 0.701
Co: 0.502 0.502 0.502
Sn: 0.365 0.365 0.365
Sn: 0.850 0.850 0.850
P: 0.099 0.818 0.390
P: 0.311 0.601 0.889
P: 0.390 0.099 0.818
P: 0.601 0.889 0.311
P: 0.818 0.390 0.099
P: 0.889 0.311 0.601
O: 0.052 0.858 0.228
O: 0.073 0.288 0.428
O: 0.130 0.774 0.926
O: 0.140 0.981 0.355
O: 0.228 0.052 0.858
O: 0.269 0.633 0.409
O: 0.288 0.428 0.073
O: 0.331 0.574 0.728
O: 0.355 0.140 0.981
O: 0.409 0.269 0.633
O: 0.428 0.073 0.288
O: 0.481 0.636 0.854
O: 0.574 0.728 0.331
O: 0.574 0.924 0.796
O: 0.633 0.409 0.269
O: 0.636 0.854 0.481
O: 0.728 0.331 0.574
O: 0.774 0.926 0.130
O: 0.796 0.574 0.924
O: 0.854 0.481 0.636
O: 0.858 0.228 0.052
O: 0.924 0.796 0.574
O: 0.926 0.130 0.774
O: 0.981 0.355 0.140

Results
Electronic total energy (eV/f.u.): -270.078
Space group: R3

=====

No. 7
Compound: CrReO4
Source: the Materials Project database
Functional: PBE with a Hubbard U
Structure: relaxed

a b c (Å): 5.560 5.560 5.749
angles (deg): 121.00 121.00 72.54
Sites, in units of the cell vectors:
Cr: 0.000 0.000 0.000
Cr: 0.001 0.001 0.501
Re: 0.500 0.500 0.777
Re: 0.501 0.501 0.230
O: 0.207 0.791 0.241
O: 0.209 0.793 0.759
O: 0.282 0.282 0.782
O: 0.315 0.315 0.316
O: 0.686 0.686 0.687
O: 0.719 0.719 0.221
O: 0.791 0.207 0.241
O: 0.793 0.209 0.759

Results
Electronic total energy (eV/f.u.): -49.906
Space group: Cm

=====

No. 8
Compound: SbMo2O8
Source: the Materials Project database
Functional: PBE with a Hubbard U
Structure: relaxed

a b c (Å): 11.931 11.931 5.503
angles (deg): 102.24 102.24 23.98
Sites, in units of the cell vectors:
Sb: 0.174 0.826 0.750
Sb: 0.826 0.174 0.250
Mo: 0.130 0.590 0.954
Mo: 0.410 0.870 0.546
Mo: 0.590 0.130 0.454
Mo: 0.870 0.410 0.046
O: 0.054 0.853 0.024
O: 0.121 0.181 0.805
O: 0.147 0.946 0.476
O: 0.181 0.121 0.305
O: 0.204 0.382 0.859
O: 0.354 0.444 0.687
O: 0.382 0.204 0.359
O: 0.444 0.354 0.187
O: 0.556 0.646 0.813
O: 0.618 0.796 0.641
O: 0.646 0.556 0.313
O: 0.796 0.618 0.141
O: 0.819 0.879 0.695
O: 0.853 0.054 0.524
O: 0.879 0.819 0.195
O: 0.946 0.147 0.976

Results
Electronic total energy (eV/f.u.): -72.858
Space group: C2/c

=====

No. 9
Compound: K2Mo2O5
Source: the Materials Project database
Functional: PBE with a Hubbard U
Structure: relaxed

a b c (Å): 8.997 8.997 8.997
angles (deg): 55.30 141.35 142.03
Sites, in units of the cell vectors:
K: 0.019 0.107 0.127
K: 0.019 0.393 0.412
K: 0.981 0.607 0.588
K: 0.981 0.893 0.873
Mo: 0.381 0.694 0.187
Mo: 0.508 0.194 0.813
Mo: 0.515 0.015 0.500
Mo: 0.515 0.515 0.000
O: 0.010 0.267 0.760
O: 0.010 0.750 0.242
O: 0.280 0.880 0.900
O: 0.477 0.157 0.596
O: 0.477 0.381 0.820
O: 0.507 0.250 0.240
O: 0.507 0.767 0.758
O: 0.561 0.657 0.180
O: 0.561 0.881 0.404
O: 0.980 0.380 0.100

Results
Electronic total energy (eV/f.u.): -54.146
Space group: Ima2

=====

No. 10
Compound: LiCoBO3
Source: the Materials Project database
Functional: PBE with a Hubbard U
Structure: relaxed

a b c (Å): 5.044 6.445 8.864
angles (deg): 77.95 91.54 114.07
Sites, in units of the cell vectors:
O: 0.553 0.820 0.953
O: 0.619 0.309 0.390
O: 0.907 0.732 0.835
O: 0.053 0.820 0.453
O: 0.447 0.180 0.047
O: 0.947 0.180 0.547
O: 0.407 0.732 0.335
O: 0.881 0.691 0.110
O: 0.593 0.268 0.665
O: 0.380 0.691 0.610
O: 0.120 0.309 0.890
O: 0.093 0.268 0.165
Li: 0.265 0.344 0.679
Li: 0.235 0.656 0.821
Li: 0.735 0.656 0.321
Li: 0.765 0.344 0.179
Co: 0.307 0.825 0.127
Co: 0.693 0.175 0.873
Co: 0.193 0.175 0.373
Co: 0.807 0.825 0.627
B: 0.716 0.253 0.534
B: 0.216 0.253 0.034
B: 0.784 0.747 0.966
B: 0.284 0.747 0.466

Results
Electronic total energy (eV/f.u.): -40.394

=====

No. 11
Compound: Li2V4CuNiO12
Source: the Materials Project database
Functional: PBE with a Hubbard U
Structure: relaxed

a b c (Å): 6.854 6.854 5.802
angles (deg): 105.56 105.56 83.17
Sites, in units of the cell vectors:
Li: 0.000 0.000 0.000
Li: 0.515 0.485 0.500
V: 0.149 0.440 0.019
V: 0.365 0.044 0.484
V: 0.560 0.851 0.981
V: 0.956 0.635 0.516
Cu: 0.851 0.149 0.500
Ni: 0.672 0.328 0.000
O: 0.107 0.607 0.809
O: 0.120 0.608 0.313
O: 0.125 0.150 0.427
O: 0.392 0.880 0.687
O: 0.393 0.342 0.077
O: 0.393 0.893 0.191
O: 0.543 0.229 0.610
O: 0.658 0.607 0.923
O: 0.735 0.042 0.088
O: 0.771 0.457 0.390
O: 0.850 0.875 0.573
O: 0.958 0.265 0.912

Results
Electronic total energy (eV/f.u.): -133.878
Space group: C2

=====

No. 12
Compound: Rb2Zn2Mo3O12
Source: the Materials Project database
Functional: PBE with a Hubbard U
Structure: relaxed

a b c (Å): 7.192 9.377 20.958
angles (deg): 90.00 109.11 90.00
Sites, in units of the cell vectors:
Rb: 0.097 0.117 0.287
Rb: 0.097 0.383 0.787
Rb: 0.297 0.531 0.092
Rb: 0.297 0.969 0.592
Rb: 0.703 0.031 0.408
Rb: 0.703 0.469 0.908
Rb: 0.903 0.617 0.213
Rb: 0.903 0.883 0.713
Zn: 0.230 0.144 0.135
Zn: 0.230 0.356 0.635
Zn: 0.439 0.591 0.563
Zn: 0.439 0.909 0.063
Zn: 0.561 0.091 0.937
Zn: 0.561 0.409 0.437
Zn: 0.770 0.644 0.365
Zn: 0.770 0.856 0.865
Mo: 0.085 0.157 0.965
Mo: 0.085 0.343 0.465
Mo: 0.302 0.723 0.402
Mo: 0.302 0.777 0.902
Mo: 0.451 0.672 0.726
Mo: 0.451 0.828 0.226
Mo: 0.549 0.172 0.774
Mo: 0.549 0.328 0.274
Mo: 0.698 0.223 0.098
Mo: 0.698 0.277 0.598
Mo: 0.915 0.657 0.535
Mo: 0.915 0.843 0.035
O: 0.037 0.206 0.405
O: 0.037 0.294 0.905
O: 0.055 0.660 0.358
O: 0.055 0.840 0.858
O: 0.132 0.248 0.543
O: 0.132 0.252 0.043
O: 0.143 0.545 0.560
O: 0.143 0.955 0.060
O: 0.289 0.694 0.233
O: 0.289 0.806 0.733
O: 0.302 0.064 0.960
O: 0.302 0.436 0.460
O: 0.326 0.501 0.714
O: 0.326 0.607 0.869
O: 0.326 0.893 0.369
O: 0.326 0.999 0.214
O: 0.331 0.181 0.699
O: 0.331 0.319 0.199
O: 0.344 0.748 0.491
O: 0.344 0.752 0.991
O: 0.483 0.210 0.850
O: 0.483 0.290 0.350
O: 0.496 0.608 0.389
O: 0.496 0.892 0.889
O: 0.504 0.108 0.111
O: 0.504 0.392 0.611
O: 0.517 0.710 0.650
O: 0.517 0.790 0.150
O: 0.656 0.248 0.009
O: 0.656 0.252 0.509
O: 0.669 0.681 0.801
O: 0.669 0.819 0.301
O: 0.674 0.001 0.786
O: 0.674 0.107 0.631
O: 0.674 0.393 0.131
O: 0.674 0.499 0.286
O: 0.698 0.564 0.540
O: 0.698 0.936 0.040
O: 0.711 0.194 0.267
O: 0.711 0.306 0.767
O: 0.857 0.045 0.940
O: 0.857 0.455 0.440
O: 0.868 0.748 0.957
O: 0.868 0.752 0.457
O: 0.945 0.160 0.142
O: 0.945 0.340 0.642
O: 0.963 0.706 0.095
O: 0.963 0.794 0.595

Results
Electronic total energy (eV/f.u.): -117.312
Space group: P2_1/c

=====

no.,DFT formation energy (eV per atom)
1,-3.020
2,-2.056
3,-1.866
4,-2.261
5,-2.210
6,-2.727
7,-2.127
8,-1.759
9,-1.704
10,-2.259
11,-2.103
12,-2.040